No. 1
Computed, not measured: a relaxed Li3Fe2P2C2O14 crystal at the r²SCAN level of DFT.

Output
energy: -202.3 eV per formula unit
formation energy from the elements: -44.84 eV per formula unit

Cell: 6.3021 8.2760 10.0594 Å, 85.11 90.00 90.00°
Closest atoms and distances in Å follow each position.
Sites, in units of the cell vectors:
Li1 0.5100 0.0962 0.8999  3 O 1.90-2.05
O1 0.9929 0.0708 0.4511  1 C 1.30
O2 0.5010 0.9281 0.5405  1 C 1.30
O3 0.4990 0.9281 0.0405  1 C 1.30
Fe1 0.4991 0.6726 0.1047  5 O 1.89-2.02
O4 0.4799 0.4615 0.2214  1 P 1.54
O5 0.8128 0.6981 0.6058  1 P 1.53
O6 0.9866 0.1952 0.7518  1 C 1.33
O7 0.0408 0.4258 0.0609  1 P 1.54
O8 0.0134 0.1952 0.2518  1 C 1.33
C1 0.4860 0.9541 0.1659  3 O 1.26-1.30
O9 0.4551 0.0920 0.2076  1 C 1.26
O10 0.9863 0.9260 0.2697  1 C 1.23
P1 0.9950 0.5786 0.6348  4 O 1.53-1.54
O11 0.9592 0.4258 0.5609  1 P 1.54
O12 0.3211 0.2963 0.9099  1 P 1.55
Fe2 0.9966 0.3309 0.3985  5 O 1.88-2.02
O13 0.5449 0.0920 0.7076  1 C 1.26
O14 0.3032 0.3115 0.4182  1 P 1.54
O15 0.1872 0.6981 0.1058  1 P 1.53
Fe3 0.5009 0.6726 0.6047  5 O 1.89-2.02
O16 0.4800 0.5684 0.9455  1 P 1.51
C2 0.9972 0.0540 0.3239  3 O 1.23-1.33
O17 0.0082 0.5225 0.7838  1 P 1.53
O18 0.0137 0.9260 0.7697  1 C 1.23
O19 0.4953 0.8243 0.7471  1 C 1.30
O20 0.8090 0.6767 0.0901  1 P 1.53
O21 0.5200 0.5684 0.4455  1 P 1.51
O22 0.0071 0.0708 0.9511  1 C 1.30
O23 0.6968 0.3115 0.9182  1 P 1.54
P2 0.5042 0.4174 0.8726  4 O 1.51-1.55
Li2 0.0102 0.8885 0.5838  4 O 1.92-2.09
Li3 0.9898 0.8885 0.0838  4 O 1.92-2.09
O24 0.5047 0.8243 0.2471  1 C 1.30
C3 0.5140 0.9541 0.6659  3 O 1.26-1.30
Li4 0.2955 0.2816 0.1353  3 O 1.95-2.13
O25 0.6789 0.2963 0.4099  1 P 1.55
O26 0.5201 0.4615 0.7214  1 P 1.54
Fe4 0.0034 0.3309 0.8985  5 O 1.88-2.02
C4 0.0028 0.0540 0.8239  3 O 1.23-1.33
P3 0.0050 0.5786 0.1348  4 O 1.53-1.54
Li5 0.7045 0.2816 0.6353  3 O 1.95-2.13
O27 0.9918 0.5225 0.2838  1 P 1.53
P4 0.4958 0.4174 0.3726  4 O 1.51-1.55
O28 0.1910 0.6767 0.5901  1 P 1.53
Li6 0.4900 0.0962 0.3999  3 O 1.90-2.05



No. 2
Computed, not measured: a relaxed U4CuTe12 crystal at the r²SCAN level of DFT.

Output
energy: -648.8 eV per formula unit
formation energy from the elements: -13.23 eV per formula unit

Cell: 7.4530 7.4466 11.4256 Å, 71.15 71.13 70.38°
Closest atoms and distances in Å follow each position.
Sites, in units of the cell vectors:
Te1 0.0199 0.0228 0.9437  4 U 3.13-3.25
Te2 0.0050 0.0040 0.3267  1 Cu 2.59
Te3 0.7570 0.7535 0.3340  1 Cu 2.62
Te4 0.5233 0.5197 0.9430  4 U 3.11-3.23
Te5 0.4947 0.4986 0.3305  2 Te 2.88-3.17, 2 U 3.13-3.14
Te6 0.4805 0.9780 0.0566  4 U 3.11-3.24
Te7 0.0013 0.4996 0.6665  1 Cu 2.57
Te8 0.9778 0.4803 0.0567  4 U 3.11-3.24
Te9 0.2575 0.2598 0.3354  2 Te 2.88-3.14, 2 U 3.15-3.16
U1 0.3101 0.3100 0.8432  8 Te 3.11-3.24
Cu1 0.8113 0.8112 0.5328  4 Te 2.57-2.62
U2 0.8101 0.8098 0.8382  8 Te 3.13-3.25, 1 Cu 3.48
Te10 0.7379 0.2435 0.6702  2 Te 2.94-3.15, 2 U 3.13-3.15
U3 0.6879 0.1924 0.1619  8 Te 3.12-3.24
Te11 0.2435 0.7380 0.6703  2 Te 2.94-3.14, 2 U 3.13-3.15
U4 0.1935 0.6895 0.1581  8 Te 3.11-3.23
Te12 0.5000 0.0005 0.6667  1 Cu 2.57



No. 3
Computed, not measured: a relaxed GdAu2 crystal at the r²SCAN level of DFT.

Output
energy: -147.2 eV per formula unit
formation energy from the elements: -2.59 eV per formula unit

Cell: 3.7639 3.7641 5.2632 Å, 110.93 110.94 89.99°
Closest atoms and distances in Å follow each position.
Sites, in units of the cell vectors:
Au1 0.3344 0.3344 0.6683  5 Au 3.01-3.07, 5 Gd 3.04-3.06
Au2 0.6656 0.6656 0.3317  5 Au 3.01-3.07, 5 Gd 3.04-3.06
Gd1 0.0000 0.0000 0.0000  10 Au 3.04-3.06



No. 4
Computed, not measured: a relaxed Cr3Pt crystal at the r²SCAN level of DFT.

Output
energy: -96.3 eV per formula unit
formation energy from the elements: 0.44 eV per formula unit

Cell: 4.6856 4.6856 4.7400 Å, 90.00 90.00 90.00°
Closest atoms and distances in Å follow each position.
Sites, in units of the cell vectors:
Pt1 0.5000 0.5000 0.5000  12 Cr 2.62-2.64
Pt2 0.0000 0.0000 0.0000  12 Cr 2.62-2.64
Cr1 0.0000 0.5000 0.7500  2 Cr 2.37, 4 Pt 2.63
Cr2 0.5000 0.2523 0.0000  2 Cr 2.32-2.36
Cr3 0.0000 0.5000 0.2500  2 Cr 2.37, 4 Pt 2.63
Cr4 0.7523 0.0000 0.5000  2 Cr 2.32-2.36
Cr5 0.2477 0.0000 0.5000  2 Cr 2.32-2.36
Cr6 0.5000 0.7477 0.0000  2 Cr 2.32-2.36



No. 5
Computed, not measured: a relaxed SiC crystal at the r²SCAN level of DFT.

Output
energy: -19.3 eV per formula unit
E above lowest polymorph: 0 meV/atom
formation energy from the elements: -0.61 eV per formula unit

Cell: 3.0762 3.0762 47.8237 Å, 90.00 90.00 120.00°
Closest atoms and distances in Å follow each position.
Sites, in units of the cell vectors:
Si1 0.3333 0.6667 0.4737  4 C 1.88-1.89
Si2 0.6667 0.3333 0.9474  4 C 1.88-1.89
C1 0.3333 0.6667 0.3026  4 Si 1.88-1.89
C2 0.6667 0.3333 0.9869  4 Si 1.88-1.89
C3 0.0000 0.0000 0.9342  4 Si 1.88-1.89
Si3 0.0000 0.0000 0.0000  4 C 1.88-1.89
Si4 0.6667 0.3333 0.5263  4 C 1.88-1.89
C4 0.0000 0.0000 0.1447  4 Si 1.88-1.89
C5 0.0000 0.0000 0.8289  4 Si 1.88-1.89
Si5 0.3333 0.6667 0.3684  4 C 1.88-1.89
C6 0.6667 0.3333 0.5657  4 Si 1.88-1.89
C7 0.6667 0.3333 0.3553  4 Si 1.88-1.89
C8 0.3333 0.6667 0.4078  4 Si 1.88-1.89
Si6 0.6667 0.3333 0.1579  4 C 1.88-1.89
Si7 0.3333 0.6667 0.8421  4 C 1.88-1.89
Si8 0.6667 0.3333 0.7369  4 C 1.88-1.89
Si9 0.0000 0.0000 0.5789  4 C 1.88-1.89
C9 0.3333 0.6667 0.7238  4 Si 1.88-1.89
C10 0.6667 0.3333 0.7763  4 Si 1.88-1.89
C11 0.0000 0.0000 0.4606  4 Si 1.88-1.89
Si10 0.0000 0.0000 0.1053  4 C 1.88-1.89
Si11 0.3333 0.6667 0.0526  4 C 1.88-1.89
C12 0.3333 0.6667 0.5132  4 Si 1.88-1.89
Si12 0.6667 0.3333 0.6315  4 C 1.88-1.89
C13 0.6667 0.3333 0.6710  4 Si 1.88-1.89
C14 0.0000 0.0000 0.6185  4 Si 1.88-1.89
Si13 0.6667 0.3333 0.3157  4 C 1.88-1.89
C15 0.3333 0.6667 0.8816  4 Si 1.88-1.89
Si14 0.0000 0.0000 0.4210  4 C 1.88-1.89
Si15 0.3333 0.6667 0.6842  4 C 1.88-1.89
Si16 0.0000 0.0000 0.2106  4 C 1.88-1.89
Si17 0.3333 0.6667 0.2631  4 C 1.88-1.89
Si18 0.0000 0.0000 0.7894  4 C 1.88-1.89
C16 0.0000 0.0000 0.2500  4 Si 1.88-1.89
Si19 0.0000 0.0000 0.8947  4 C 1.88-1.89
C17 0.6667 0.3333 0.1975  4 Si 1.88-1.89
C18 0.3333 0.6667 0.0922  4 Si 1.88-1.89
C19 0.0000 0.0000 0.0394  4 Si 1.88-1.89



No. 6
Computed, not measured: a relaxed YbAgO2 crystal at the r²SCAN level of DFT.

Output
energy: -80.2 eV per formula unit
formation energy from the elements: -10.42 eV per formula unit

Cell: 3.3971 3.3971 6.5032 Å, 74.86 74.86 60.00°
Closest atoms and distances in Å follow each position.
Sites, in units of the cell vectors:
Yb1 0.5000 0.5000 0.5000  6 O 2.22
O1 0.8890 0.8890 0.3330  1 Ag 2.06, 3 Yb 2.22
O2 0.1110 0.1110 0.6670  1 Ag 2.06, 3 Yb 2.22
Ag1 0.0000 0.0000 0.0000  2 O 2.06



No. 7
Computed, not measured: a relaxed ScAl3 crystal at the r²SCAN level of DFT.

Output
energy: -33.5 eV per formula unit
formation energy from the elements: -1.92 eV per formula unit

Cell: 4.0878 4.0878 4.0878 Å, 90.00 90.00 90.00°
Closest atoms and distances in Å follow each position.
Sites, in units of the cell vectors:
Al1 0.0000 0.5000 0.5000  4 Sc 2.89, 8 Al 2.89
Al2 0.5000 0.5000 0.0000  4 Sc 2.89, 8 Al 2.89
Sc1 0.0000 0.0000 0.0000  12 Al 2.89
Al3 0.5000 0.0000 0.5000  4 Sc 2.89, 8 Al 2.89



No. 8
Computed, not measured: a relaxed LiZrIr2 crystal at the r²SCAN level of DFT.

Output
energy: -132.6 eV per formula unit
formation energy from the elements: -2.74 eV per formula unit

Cell: 4.4241 4.4241 4.4241 Å, 59.97 59.97 59.97°
Closest atoms and distances in Å follow each position.
Sites, in units of the cell vectors:
Ir1 0.5000 0.5000 0.5000  4 Li 2.71, 4 Zr 2.71
Li1 0.2500 0.2500 0.2500  8 Ir 2.71
Zr1 0.7500 0.7500 0.7500  8 Ir 2.71
Ir2 0.0000 0.0000 0.0000  4 Li 2.71, 4 Zr 2.71



- The highest formation energy from the elements belongs to which entry?
  Cr3Pt



- Among the records above, which one has the lowest energy?
  U4CuTe12